Entry 1:
Below is an optimized crystal structure of Sr5V3H6O6F16, with properties calculated at the GGA+U level.

a = 8.307 Å, b = 11.400 Å, c = 20.263 Å
α = 73.21°, β = 90.00°, γ = 90.00°
Positions (direct):
O  0.288  0.554  0.971
Sr  0.415  0.005  0.355
Sr  0.585  0.995  0.645
Sr  0.413  0.761  0.980
F  0.153  0.724  0.046
H  0.348  0.125  0.718
V  0.416  0.927  0.157
H  0.714  0.829  0.358
H  0.651  0.512  0.038
H  0.652  0.875  0.282
F  0.907  0.260  0.277
F  0.424  0.421  0.393
F  0.875  0.025  0.261
F  0.848  0.422  0.687
Sr  0.154  0.656  0.175
F  0.924  0.579  0.107
H  0.206  0.510  0.004
F  0.407  0.740  0.223
H  0.285  0.988  0.507
Sr  0.587  0.239  0.020
F  0.774  0.189  0.116
F  0.653  0.276  0.454
Sr  0.346  0.656  0.675
O  0.778  0.023  0.532
Sr  0.834  0.664  0.672
H  0.849  0.512  0.538
O  0.788  0.446  0.529
H  0.215  0.988  0.007
Sr  0.086  0.650  0.854
F  0.439  0.368  0.536
F  0.025  0.831  0.592
F  0.311  0.298  0.967
F  0.683  0.584  0.311
F  0.577  0.741  0.744
O  0.422  0.333  0.110
Sr  0.085  0.005  0.855
F  0.726  0.189  0.616
H  0.349  0.488  0.962
F  0.317  0.416  0.689
H  0.786  0.829  0.858
O  0.925  0.878  0.966
F  0.475  0.831  0.092
F  0.561  0.632  0.464
O  0.117  0.159  0.170
F  0.082  0.486  0.753
F  0.375  0.975  0.239
F  0.652  0.422  0.187
H  0.852  0.953  0.543
H  0.794  0.490  0.996
F  0.418  0.486  0.253
O  0.922  0.667  0.390
F  0.593  0.260  0.777
O  0.712  0.446  0.029
O  0.617  0.841  0.330
O  0.883  0.841  0.830
H  0.648  0.953  0.043
O  0.924  0.936  0.401
Sr  0.915  0.995  0.145
F  0.605  0.799  0.606
H  0.848  0.875  0.782
F  0.125  0.975  0.739
F  0.582  0.514  0.747
Sr  0.914  0.350  0.146
O  0.278  0.977  0.968
F  0.417  0.575  0.119
O  0.212  0.554  0.471
F  0.355  0.105  0.815
V  0.083  0.399  0.673
F  0.061  0.368  0.036
O  0.424  0.064  0.099
Sr  0.846  0.344  0.825
F  0.105  0.201  0.894
F  0.189  0.298  0.467
F  0.847  0.276  0.954
F  0.895  0.799  0.106
F  0.939  0.632  0.964
V  0.921  0.739  0.023
H  0.294  0.510  0.504
F  0.183  0.416  0.189
F  0.226  0.811  0.884
Sr  0.166  0.336  0.328
H  0.715  0.012  0.493
F  0.395  0.201  0.394
F  0.077  0.259  0.756
F  0.525  0.169  0.908
F  0.348  0.578  0.813
O  0.078  0.333  0.610
V  0.917  0.601  0.327
F  0.188  0.888  0.150
F  0.083  0.575  0.619
H  0.286  0.171  0.642
V  0.084  0.927  0.657
F  0.076  0.421  0.893
V  0.417  0.399  0.173
F  0.312  0.888  0.650
F  0.689  0.702  0.033
F  0.423  0.259  0.256
Sr  0.414  0.650  0.354
V  0.579  0.739  0.523
O  0.722  0.023  0.032
F  0.688  0.112  0.350
V  0.584  0.073  0.843
H  0.785  0.012  0.993
H  0.148  0.047  0.457
H  0.706  0.490  0.496
O  0.578  0.667  0.890
O  0.075  0.122  0.034
F  0.274  0.811  0.384
F  0.855  0.895  0.685
F  0.152  0.578  0.313
F  0.975  0.169  0.408
F  0.645  0.895  0.185
H  0.214  0.171  0.142
F  0.576  0.579  0.607
O  0.425  0.122  0.534
F  0.583  0.425  0.881
F  0.812  0.112  0.850
Sr  0.087  0.761  0.480
F  0.347  0.724  0.546
F  0.625  0.025  0.761
Sr  0.586  0.350  0.646
V  0.916  0.073  0.343
O  0.576  0.936  0.901
F  0.817  0.584  0.811
F  0.093  0.740  0.723
F  0.917  0.425  0.381
F  0.918  0.514  0.247
V  0.583  0.601  0.827
F  0.811  0.702  0.533
Sr  0.666  0.664  0.172
H  0.352  0.047  0.957
Sr  0.334  0.336  0.828
O  0.575  0.878  0.466
O  0.383  0.159  0.670
H  0.152  0.125  0.218
O  0.076  0.064  0.599
H  0.151  0.488  0.462
O  0.222  0.977  0.468
F  0.145  0.105  0.315
F  0.923  0.741  0.244
V  0.079  0.261  0.977
Sr  0.654  0.344  0.325
V  0.421  0.261  0.477
Sr  0.913  0.239  0.520

Summary:
DFT total energy: -5.81 eV per atom
Formation enthalpy at 0 K: -3.03 eV per atom
Total magnetic moment: 12.23 Bohr magnetons per cell
MP2020-corrected energy: -6.267 eV per atom


Entry 2:
Below is an optimized crystal structure of MgCoCuO2, with properties calculated at the GGA+U level.

a = 7.742 Å, b = 7.742 Å, c = 7.702 Å
α = 23.26°, β = 23.26°, γ = 22.85°
Positions (direct):
Co  0.473  0.473  0.494
O  0.892  0.892  0.870
Mg  0.258  0.258  0.254
O  0.108  0.108  0.114
Cu  0.029  0.029  0.018

Summary:
DFT total energy: -5.16 eV per atom
Formation enthalpy at 0 K: -1.22 eV per atom
Total magnetic moment: 2.90 Bohr magnetons per cell
MP2020-corrected energy: -5.761 eV per atom


Q: The lowest formation enthalpy at 0 K belongs to which entry?
A: Sr5V3H6O6F16